Entry from the Materials Project: a relaxed Li2BPd3 crystal (r2SCAN).

a = 9.5783 Å, b = 9.5783 Å, c = 11.7272 Å
α = 90.00°, β = 90.00°, γ = 120.00°
Last column: nearest neighbours and their distance in Å.
Space group R32 (No. 155, hexagonal axes)
Inequivalent atoms, fractional coordinates:
Li (0.0000, 0.0000, 0.1814) x6  3 Li 2.57, 9 Pd 2.74-2.85
Li (0.0373, 0.4629, 0.8937) x18  3 Li 2.57, 9 Pd 2.74-2.85
B (0.0000, 0.0000, 0.5000) x3  6 Pd 2.14
B (0.0000, 0.7500, 0.0000) x9  6 Pd 2.14
Pd (0.0000, 0.1804, 0.0000) x9  2 B 2.14
Pd (0.0000, 0.5693, 0.5000) x9  2 B 2.14
Pd (0.0602, 0.8704, 0.6203) x18  2 B 2.14

Results
Energy of formation in eV/atom: -0.457